[1]
VASP calculation (GGA+U) on an optimized crystal structure of NdCrTeO6.

Structure (POSCAR):
```
NdCrTeO6
1.0
5.2344 0.0000 0.0000
-2.6172 4.5331 0.0000
0.0000 0.0000 10.2375
Nd Cr Te O
2 2 2 12
Cartesian
0.0000 0.0000 0.0000 Nd
0.0000 0.0000 5.1187 Nd
0.0000 3.0221 2.5594 Cr
2.6172 1.5110 7.6781 Cr
0.0000 3.0221 7.6781 Te
2.6172 1.5110 2.5594 Te
-0.9206 1.6879 8.7726 O
-1.6157 2.8919 6.5836 O
0.9206 1.6879 6.5836 O
-0.6951 4.4865 8.7726 O
1.9221 0.0467 3.6539 O
1.0015 1.6413 1.4649 O
1.6157 2.8919 8.7726 O
0.6951 4.4865 6.5836 O
3.3123 0.0467 1.4649 O
1.6966 2.8452 3.6539 O
4.2329 1.6413 3.6539 O
3.5379 2.8452 1.4649 O
```

Results
**Relative energy among the computed polymorphs**: 0.000 eV/atom
**ΔE_f**: -2.515 eV per atom

***

[2]
VASP calculation (GGA+U) on an optimized crystal structure of CoH2O2.

Structure (POSCAR):
```
CoH2O2
1.0
3.1938 0.0000 0.0000
1.5892 2.7831 0.0000
1.5413 0.7677 4.9199
Co H O
1 2 2
Cartesian
0.0000 0.0000 0.0000 Co
1.5887 0.8654 2.0191 H
4.7355 2.6854 2.9008 H
1.5949 0.8983 1.0468 O
4.7293 2.6525 3.8731 O
```

Results
**Relative energy among the computed polymorphs**: 0.002 eV/atom
**ΔE_f**: -1.244 eV per atom

***

[3]
VASP calculation (GGA+U) on an optimized crystal structure of Zn2CrWO6.

Structure (POSCAR):
```
Zn2CrWO6
1.0
2.6018 -2.6542 3.6829
2.9219 -2.6509 -3.9066
5.5847 5.1965 -0.2021
Zn O W Cr
4 12 2 2
Cartesian
8.3048 -0.1598 -2.1231 Zn
2.9951 -0.1147 1.5621 Zn
2.7497 -0.1056 -1.9096 Zn
5.9499 2.4843 -2.3357 Zn
7.2617 -1.1192 0.1910 O
8.2701 1.7871 1.6221 O
6.5884 1.5138 -0.7497 O
3.6358 -1.0870 3.1458 O
5.6363 -0.8097 -2.0723 O
4.4591 -1.7496 0.3806 O
7.4107 0.8503 -3.5148 O
1.7079 -1.0657 0.4060 O
2.7713 -2.0621 -2.0210 O
5.4045 0.5350 1.6728 O
3.7862 0.8158 -0.5385 O
9.3402 0.7617 -0.7515 O
5.5610 -0.1381 -0.2150 W
5.5914 5.1121 -0.2042 W
8.3241 2.4613 -0.2971 Cr
2.7694 2.5151 -0.0849 Cr
```

Results
**Relative energy among the computed polymorphs**: 0.000 eV/atom
**ΔE_f**: -2.010 eV per atom

***

[4]
VASP calculation (GGA+U) on an optimized crystal structure of Fe3OF5.

Structure (POSCAR):
```
Fe3OF5
1.0
4.8023 0.0000 0.0000
0.1642 5.7782 0.0000
0.0993 0.2927 8.0429
Fe O F
6 2 10
Cartesian
0.0000 0.0000 0.0000 Fe
0.1325 2.1729 5.2088 Fe
2.6263 3.1760 7.9606 Fe
2.5283 0.9970 2.5376 Fe
2.7068 4.9442 5.2089 Fe
4.7934 4.0535 2.6483 Fe
3.9917 3.8525 4.4069 O
4.0684 5.5484 1.8351 O
1.1135 3.9895 0.8332 F
1.0989 2.3070 3.2892 F
1.1145 0.3896 6.0367 F
1.6030 5.1035 3.5105 F
1.6606 3.3907 6.0229 F
1.5473 1.1649 0.6422 F
3.3873 0.8940 4.5813 F
3.5798 4.9152 7.0435 F
3.5575 2.7257 1.7640 F
4.0519 2.0217 7.1190 F
```

Results
**Relative energy among the computed polymorphs**: 0.016 eV/atom
**ΔE_f**: -2.373 eV per atom

***

[5]
VASP calculation (GGA+U) on an optimized crystal structure of LiNi2P3O11.

Structure (POSCAR):
```
LiNi2P3O11
1.0
5.7244 -4.3786 0.0000
5.7244 4.3786 0.0000
-3.7549 0.0000 7.9629
Li Ni P O
2 4 6 22
Cartesian
1.7918 0.0000 2.1478 Li
5.9021 0.0000 5.8151 Li
-1.5592 -0.0893 6.3311 Ni
1.6387 -0.1682 5.6149 Ni
6.0552 -0.1682 2.3479 Ni
9.2531 -0.0893 1.6317 Ni
2.3876 2.6439 4.2341 P
4.2808 1.4761 0.2706 P
5.3063 2.6439 3.7288 P
3.4131 1.4761 7.6923 P
3.8470 -1.9202 3.9814 P
5.7244 -2.7118 0.0000 P
3.3250 2.6464 0.4224 O
1.2397 0.7028 0.0220 O
2.4008 3.5443 5.4779 O
1.4665 1.4405 4.3163 O
5.2931 3.5443 2.4849 O
0.2531 0.6604 6.9538 O
5.7244 2.1362 0.0000 O
3.8470 2.0087 3.9814 O
-0.1662 -0.9075 5.0053 O
4.3342 0.5706 1.5136 O
4.3689 2.6464 7.5405 O
3.3598 0.5706 6.4492 O
2.6007 -0.9736 3.9651 O
6.2275 1.4405 3.6465 O
7.4408 0.6604 1.0090 O
1.8921 -1.8985 6.6787 O
5.0933 -0.9736 3.9978 O
3.7901 -2.7506 2.7062 O
5.8018 -1.8985 1.2842 O
6.4542 0.7028 7.9408 O
3.9038 -2.7506 5.2566 O
7.8601 -0.9075 2.9576 O
```

Results
**ΔE_f**: -2.149 eV per atom

***

[6]
VASP calculation (GGA+U) on an optimized crystal structure of MnCuP2O8.

Structure (POSCAR):
```
MnCuP2O8
1.0
4.2584 2.4586 6.9290
-4.2584 2.4586 6.9290
0.0000 -4.9172 6.9290
Mn Cu P O
3 3 6 24
Cartesian
0.0000 0.0000 0.0000 Mn
0.0000 0.0000 4.4941 Mn
0.0000 0.0000 10.4002 Mn
0.0000 0.0000 7.4370 Cu
0.0000 0.0000 14.8564 Cu
0.0000 0.0000 17.7990 Cu
-3.0262 0.3124 9.1863 P
-1.2413 -2.1433 12.6418 P
1.2425 -2.7769 9.1863 P
-1.2355 2.1466 12.6418 P
1.7837 2.4645 9.1863 P
2.4768 -0.0033 12.6418 P
-3.4068 1.0252 7.8906 O
-0.8493 -1.1910 5.8014 O
-2.7983 -2.3049 12.4983 O
-3.4528 1.0287 10.4728 O
0.8155 -3.4630 7.8906 O
-1.4623 0.1831 9.0700 O
-0.6068 1.3310 5.8014 O
-0.8541 -1.4127 11.3574 O
0.8355 -3.5046 10.4728 O
0.5726 -1.3580 9.0700 O
1.4561 -0.1400 5.8014 O
-0.8152 -1.5134 13.9539 O
-0.7964 1.4460 11.3574 O
-1.4733 -0.1712 16.2580 O
0.8898 1.1749 9.0700 O
-0.9030 1.4627 13.9539 O
1.6505 -0.0333 11.3574 O
-0.5969 3.5759 12.4983 O
0.8850 -1.1903 16.2580 O
2.5913 2.4377 7.8905 O
1.7182 0.0507 13.9539 O
3.3953 -1.2710 12.4983 O
0.5884 1.3616 16.2580 O
2.6173 2.4759 10.4728 O
```

Results
**Relative energy among the computed polymorphs**: 0.060 eV/atom
**ΔE_f**: -2.098 eV per atom

***

[7]
VASP calculation (GGA+U) on an optimized crystal structure of Li9Mn2Co5O16.

Structure (POSCAR):
```
Li9Mn2Co5O16
1.0
5.9252 0.0000 0.0000
1.6444 6.2287 0.0000
1.8789 -0.3273 7.6527
Li Mn Co O
9 2 5 16
Cartesian
0.0000 0.0000 0.0000 Li
1.7616 2.9507 3.8263 Li
1.5965 2.2577 0.9606 Li
3.2866 1.2645 5.7931 Li
3.0984 0.6737 2.8277 Li
2.9626 0.0000 0.0000 Li
6.3501 5.2278 4.8250 Li
6.1619 4.6370 1.8596 Li
7.8520 3.6438 6.6921 Li
3.1552 4.5941 1.8883 Mn
6.2933 1.3074 5.7644 Mn
3.3948 5.2548 4.8413 Co
4.9034 3.6284 6.6903 Co
4.7242 2.9507 3.8263 Co
4.5451 2.2731 0.9623 Co
6.0536 0.6467 2.8114 Co
1.7075 0.9105 4.4327 O
1.8308 4.2568 0.5306 O
1.5185 0.2629 1.5495 O
3.3918 3.3569 5.1423 O
4.9096 5.4347 6.2155 O
3.2282 2.6947 2.3408 O
4.5517 4.8298 3.3140 O
4.9070 1.7120 7.0529 O
4.5415 4.1895 0.5998 O
4.8968 1.0717 4.3387 O
6.2203 3.2068 5.3119 O
4.5389 0.4668 1.4372 O
6.0567 2.5446 2.5104 O
7.9300 5.6386 6.1032 O
7.6176 1.6447 7.1221 O
7.7410 4.9909 3.2200 O
```

Results
**Relative energy among the computed polymorphs**: 0.024 eV/atom
**ΔE_f**: -1.840 eV per atom

***

[8]
VASP calculation (GGA+U) on an optimized crystal structure of Li4Cr5O10.

Structure (POSCAR):
```
Li4Cr5O10
1.0
6.6415 0.0000 0.0000
2.0497 6.3226 0.0000
1.3651 0.3195 8.8067
Li Cr O
8 10 20
Cartesian
0.9735 0.8119 3.0584 Li
1.6747 1.9621 0.4211 Li
4.4033 4.5125 4.0136 Li
5.0563 5.6922 1.3398 Li
5.0000 0.9499 7.4669 Li
5.6530 2.1296 4.7931 Li
8.3816 4.6800 8.3856 Li
9.0828 5.8303 5.7483 Li
1.7074 3.3211 4.4033 Cr
2.3397 4.4748 1.7673 Cr
4.3813 5.9402 7.9203 Cr
3.0380 0.8510 5.2810 Cr
3.7159 2.0046 2.6286 Cr
4.3456 3.1613 0.0000 Cr
6.3404 4.6375 6.1780 Cr
7.0183 5.7911 3.5257 Cr
5.6750 0.7019 0.8864 Cr
7.7166 2.1673 7.0394 Cr
2.2921 5.1086 3.6619 O
1.8356 2.7226 2.4611 O
2.9510 6.2576 1.0644 O
3.7842 4.1779 8.7341 O
2.8621 1.4289 7.2237 O
4.4850 5.4004 5.9897 O
3.6029 2.6227 4.5033 O
3.0912 0.1949 3.3480 O
4.1687 3.8616 1.9117 O
3.7672 1.3533 0.6920 O
6.2890 5.2888 8.1146 O
5.8875 2.7805 6.8950 O
6.9651 6.4473 5.4587 O
6.4534 4.0194 4.3034 O
5.5713 1.2418 2.8170 O
7.1942 5.2133 1.5830 O
6.2721 2.4642 0.0725 O
7.1052 0.3846 7.7422 O
8.2207 3.9195 6.3455 O
7.7642 1.5335 5.1448 O
```

Results
**ΔE_f**: -2.327 eV per atom

***

[9]
VASP calculation (GGA+U) on an optimized crystal structure of V9O17.

Structure (POSCAR):
```
V9O17
1.0
5.5647 0.0000 0.0000
-2.2272 6.7592 0.0000
-0.1165 -1.7379 14.6271
V O
18 34
Cartesian
0.0000 0.0000 0.0000 V
-1.1089 3.3991 0.0440 V
-1.7525 5.9061 3.0225 V
-0.5986 2.5137 2.9518 V
-0.2329 1.3775 11.3272 V
-1.2528 4.7570 11.2673 V
0.9568 1.1725 7.9685 V
-0.1524 4.5527 7.9634 V
0.9505 4.3467 4.6615 V
2.1580 0.9696 4.6106 V
2.5198 -0.1635 12.9790 V
1.4530 3.2026 12.9095 V
3.1406 0.7021 1.2621 V
2.0308 4.0981 1.3098 V
3.7097 -0.3936 9.6945 V
2.6631 3.0160 9.5791 V
4.8211 -0.6701 6.3539 V
3.7752 2.7411 6.2407 V
-0.6429 1.1684 6.7916 O
-1.3595 2.8846 10.7889 O
-1.6637 5.2117 1.0112 O
-0.1323 0.8026 9.5486 O
0.4606 -0.1895 4.6766 O
-0.6049 4.3755 3.4805 O
0.9214 -0.7364 7.4750 O
-0.1781 2.0942 13.1364 O
0.9186 -0.1316 11.9426 O
-0.1262 3.8964 6.0928 O
0.3911 3.1909 1.3499 O
1.5261 -0.8284 14.5825 O
-0.1811 5.2108 9.8374 O
1.0040 2.4761 3.9885 O
2.1076 0.2473 2.7966 O
0.9985 3.0837 8.4568 O
0.3060 4.7352 12.4488 O
1.4580 2.5426 11.2508 O
2.0519 1.5414 6.3845 O
1.4678 5.6401 0.3008 O
3.2823 -0.5390 5.1422 O
2.5613 1.1792 9.1465 O
2.4401 1.7185 13.8739 O
1.4414 5.7011 7.8360 O
2.1383 4.8199 3.0291 O
3.3360 2.7206 1.6718 O
2.6436 4.3116 5.7309 O
3.7073 0.3286 11.6251 O
3.7820 2.0236 4.3097 O
2.6126 4.7934 10.2116 O
4.1482 -0.3537 14.2640 O
3.1357 4.2765 12.9213 O
3.8159 3.4083 8.0967 O
5.0426 0.6405 2.0531 O
```

Results
**Relative energy among the computed polymorphs**: 0.003 eV/atom
**ΔE_f**: -2.468 eV per atom

***

[10]
VASP calculation (GGA+U) on an optimized crystal structure of MgMo2N2O10.

Structure (POSCAR):
```
MgMo2N2O10
1.0
6.4327 0.0000 0.0000
0.0000 15.5619 0.0000
-2.6990 0.0000 5.2604
Mg Mo N O
2 4 4 20
Cartesian
0.0000 0.0000 0.0000 Mg
-1.3495 7.7810 2.6302 Mg
-0.1046 1.7858 3.2820 Mo
1.2449 5.9951 0.6518 Mo
2.4889 9.5668 4.6085 Mo
3.8383 13.7761 1.9784 Mo
2.0869 9.8533 1.1859 N
0.7374 13.4896 3.8160 N
2.9964 2.0724 1.4443 N
1.6469 5.7086 4.0745 N
-1.0547 3.1149 2.7778 O
0.2947 4.6660 0.1476 O
0.2776 0.7775 1.8588 O
-1.0718 7.0035 4.4890 O
-1.0150 0.8625 4.5088 O
0.3344 6.9185 1.8786 O
-0.0322 9.7373 3.2382 O
1.3173 13.6055 0.6080 O
0.8153 10.5065 3.9062 O
2.1647 12.8364 1.2760 O
1.5690 2.7255 3.9843 O
2.9185 5.0554 1.3542 O
2.4165 1.9564 4.6523 O
3.7660 5.8246 2.0222 O
3.3993 8.6434 3.3818 O
4.7488 14.6995 0.7516 O
4.8056 8.5584 0.7714 O
3.4561 14.7845 3.4016 O
3.4390 10.8959 5.1128 O
4.7885 12.4470 2.4826 O
```

Results
**ΔE_f**: -0.321 eV per atom

***

[11]
VASP calculation (GGA+U) on an optimized crystal structure of Li9Mn2Co5O16.

Structure (POSCAR):
```
Li9Mn2Co5O16
1.0
5.8878 0.0000 0.0000
0.0000 2.8903 0.0000
-0.1160 0.0000 16.7790
Li Mn Co O
9 2 5 16
Cartesian
0.0000 0.0000 0.0000 Li
-0.0530 0.0000 8.2195 Li
1.4307 1.4452 10.3371 Li
1.5271 1.4452 1.9193 Li
2.9045 0.0000 12.4252 Li
2.9910 0.0000 3.8810 Li
4.3990 1.4452 1.9369 Li
4.3466 1.4452 14.5414 Li
4.4234 1.4452 6.0619 Li
1.4364 1.4452 6.1054 Mn
2.8837 0.0000 16.7138 Mn
-0.0718 0.0000 12.4591 Co
1.4082 1.4452 14.5304 Co
2.9596 0.0000 8.2168 Co
4.3761 1.4452 10.3159 Co
5.8210 0.0000 3.7904 Co
0.0511 0.0000 2.0170 O
0.0383 0.0000 14.4986 O
0.1556 0.0000 6.1398 O
1.3749 1.4452 4.2003 O
1.3380 1.4452 12.4414 O
1.5146 1.4452 8.1042 O
1.5328 1.4452 16.5938 O
2.7537 0.0000 6.1362 O
2.7709 0.0000 14.6476 O
2.9669 0.0000 1.7523 O
3.0617 0.0000 10.2802 O
4.1632 1.4452 16.5953 O
4.3422 1.4452 8.2072 O
4.5227 1.4452 4.0629 O
4.4647 1.4452 12.4508 O
5.6841 0.0000 10.3801 O
```

Results
**Relative energy among the computed polymorphs**: 0.037 eV/atom
**ΔE_f**: -1.827 eV per atom

***

[12]
VASP calculation (GGA+U) on an optimized crystal structure of Cu3Mo2H2O10.

Structure (POSCAR):
```
Cu3Mo2H2O10
1.0
5.7369 0.0000 0.0000
-0.4094 5.8542 0.0000
-1.8294 -3.0273 7.0080
Cu Mo H O
3 2 2 10
Cartesian
0.0000 0.0000 0.0000 Cu
0.4942 1.7926 6.0408 Cu
3.0039 1.0343 0.9671 Cu
0.3550 3.0444 2.1371 Mo
3.1431 -0.2175 4.8708 Mo
-0.4210 3.5404 4.6466 H
3.9191 -0.7135 2.3614 H
-1.4310 0.7758 5.7637 O
0.2120 4.7308 1.6322 O
-0.0244 2.9062 3.9956 O
-0.0675 -2.5221 6.6047 O
2.0087 2.4377 1.8321 O
1.4894 0.3892 5.1758 O
3.5656 5.3490 0.4033 O
3.5225 -0.0793 3.0124 O
3.2861 -1.9039 5.3758 O
4.9291 2.0511 1.2442 O
```

Results
**Relative energy among the computed polymorphs**: 0.088 eV/atom
**ΔE_f**: -1.351 eV per atom

***

[13]
VASP calculation (GGA+U) on an optimized crystal structure of MgZrMo2O8.

Structure (POSCAR):
```
MgZrMo2O8
1.0
5.3074 -2.8632 0.0000
5.3074 2.8632 0.0000
-0.0449 0.0000 5.8792
Mg Zr Mo O
1 1 2 8
Cartesian
0.0000 0.0000 0.0000 Mg
-0.0224 0.0000 2.9396 Zr
3.4286 0.0000 4.8522 Mo
7.1414 0.0000 1.0270 Mo
1.5975 0.0000 4.2383 O
4.5377 1.4946 4.3986 O
3.1672 0.0000 0.6987 O
6.0323 1.4946 1.4806 O
4.5377 -1.4946 4.3986 O
7.4027 0.0000 5.1805 O
6.0323 -1.4946 1.4806 O
8.9724 0.0000 1.6409 O
```

Results
**Relative energy among the computed polymorphs**: 0.102 eV/atom
**ΔE_f**: -2.392 eV per atom

***

MP2020-corrected energy
In order: -7.765 -6.002 -7.492 -6.810 -7.098 -7.404 -6.534 -7.873 -8.847 -6.284 -6.521 -6.661 -8.344
Unit: eV per atom